No. 1
Entry from Materials Project: a geometry-optimized Na2ZnInPS2O12 structure (PBE).

Structure (extended XYZ):
```
114
Lattice="-7.112 -1.629 -5.199 6.908 -5.657 0.042 -9.712 -11.775 16.977" Properties=species:S:1:pos:R:3 pbc="T T T"
O -2.579 -4.842 -3.894
O -13.453 -10.971 9.478
O -2.226 -4.423 -0.140
S -8.757 -15.591 12.340
Zn 2.195 -4.453 -1.334
O -7.631 -11.856 15.417
O -5.634 -14.931 7.782
O -0.578 -3.601 3.210
O -0.330 -5.940 3.538
O 2.667 -4.868 0.639
Na 2.023 -6.495 4.185
S -3.843 -7.545 5.382
O -5.723 -16.861 15.001
O -10.012 -14.795 12.289
O -4.925 -15.826 12.783
P -4.533 -3.489 2.720
O -7.322 -7.710 6.674
O -3.938 -6.235 6.079
S -5.302 -2.280 -2.054
In -0.852 -8.130 3.628
O -3.721 -12.988 12.061
S -6.636 -12.960 15.379
O -9.521 -13.153 8.314
S -7.361 -10.990 11.224
O -3.620 -8.580 6.396
In -6.536 -14.926 5.904
P -12.287 -10.040 9.090
Na -6.182 -5.556 5.255
O -4.272 -2.237 -3.135
O -8.010 -10.875 12.530
O -10.958 -10.814 9.078
O -3.170 -9.801 9.091
Na 3.723 -6.871 -0.132
In -5.629 -13.999 12.174
O -1.069 -10.168 3.564
O -1.415 -12.834 11.693
O -5.004 -3.307 -1.036
O 1.506 -9.580 6.874
O 1.570 -6.634 -1.288
S -10.207 -10.371 4.908
O -4.733 -11.338 7.268
O -7.218 -11.562 7.580
Na 0.596 -6.210 1.066
Na -3.720 -13.351 6.466
O -8.574 -6.229 0.080
O -2.984 -11.729 2.785
In -7.135 -8.728 4.736
Na -5.678 -6.774 2.188
O -12.663 -14.230 11.166
O -3.639 -7.031 0.576
O -6.206 -6.080 -0.219
O -4.317 -4.103 4.118
Na -4.987 -13.067 3.345
O -6.623 -9.761 10.829
S 0.269 -8.748 6.900
S -8.036 -7.681 7.985
Na -10.549 -12.665 10.666
O -4.021 -6.055 -2.121
O -5.935 -13.031 14.067
Na -2.866 -17.355 16.934
Na -13.596 -12.030 11.874
O -11.469 -9.528 4.908
O -1.040 -2.364 0.493
O -5.962 -12.878 5.714
S -1.125 -3.515 -0.491
O -6.585 -2.521 -2.773
O -8.815 -16.719 11.368
O -8.756 -8.942 8.260
O -8.394 -11.357 10.219
O -3.288 -9.339 0.942
O -2.796 -7.537 4.324
O -6.699 -9.262 2.673
O -1.537 -7.712 1.620
O -3.258 -16.566 14.622
O 0.136 -4.269 -0.531
S -9.540 -14.450 7.588
O -11.535 -12.523 13.062
O -9.180 -9.330 4.588
O -8.467 -16.179 13.661
O -6.314 -12.086 11.202
O -4.643 -4.592 1.656
O -5.330 -14.443 10.112
O -7.704 -14.603 11.915
O 3.465 -8.071 2.395
O -5.138 -7.731 4.629
S -7.506 -6.249 -0.920
Zn -4.201 -5.086 -0.318
P -1.927 -11.440 3.856
O -2.163 -12.264 8.022
P -4.604 -16.828 13.937
Zn -2.912 -10.398 6.971
Na -4.200 -12.084 9.598
O 0.101 -8.040 5.582
O -1.843 -8.158 -0.658
O -2.249 -7.252 -3.610
O -9.282 -15.488 8.598
Zn -10.437 -5.754 0.771
O -6.310 -10.472 5.417
P -3.353 -6.116 -3.508
O -0.854 -9.660 7.188
In -11.953 -14.607 13.252
S -2.590 -8.084 0.630
Na -7.363 -13.421 9.362
P -6.097 -11.519 6.525
Zn -9.112 -10.986 8.130
O -9.982 -10.975 6.229
O -7.671 -6.863 3.849
Zn -8.299 -10.039 14.372
O -6.970 -7.384 8.983
In -1.683 -9.039 -2.587
O -2.606 -11.372 5.242
O -1.398 -2.772 -1.762
O -7.328 -14.204 15.723
O 1.098 -8.196 2.773
```

Its formation energy is -2148 meV/atom. Its space group is Cc (9). As for the volume: 13.86 Å³ per atom.

=====

No. 2
Entry from Materials Project: a geometry-optimized Na5Zn2In2P3S3O24 structure (PBE).

Structure (extended XYZ):
```
117
Lattice="9.015 0.004 -0.008 -4.504 7.780 -0.010 -0.020 -0.042 22.618" Properties=species:S:1:pos:R:3 pbc="T T T"
O 1.054 1.420 18.163
O 3.773 0.881 14.388
Na 7.366 2.253 9.361
O 1.755 0.162 6.875
P 2.670 0.029 5.666
O 5.188 4.108 16.864
Zn 4.533 2.606 4.117
O -0.765 3.501 21.894
S 5.861 0.262 1.885
Zn -0.173 5.167 0.350
O -1.090 6.688 22.094
In 4.464 2.624 22.262
Na 5.688 0.083 5.711
O 5.245 4.266 0.667
O -1.128 3.584 19.461
Zn 0.002 0.034 7.845
S 5.822 5.456 16.977
O 0.623 3.702 17.071
Na 7.358 2.739 16.862
O 6.346 2.310 11.933
S -1.347 2.822 20.730
O 0.757 3.475 10.668
In 0.020 0.014 3.426
O 1.085 3.670 8.237
O 3.326 1.094 11.985
O 6.336 2.753 14.481
Na 2.837 4.889 16.832
O -3.540 6.385 9.302
O 2.820 2.709 9.528
Na -2.847 4.913 5.512
O -1.803 5.324 10.598
P 1.370 7.489 9.448
P 6.318 -0.012 17.018
O 6.169 2.676 20.819
O -0.736 3.743 5.785
O 1.670 0.138 13.329
Na -0.018 4.986 3.670
P 7.666 2.305 5.691
O 5.235 1.160 9.507
S 1.339 2.850 9.452
O 3.863 1.108 20.878
P 5.850 4.902 1.935
O 0.985 3.825 1.730
O 5.552 4.113 3.223
O -1.616 5.074 1.828
O 5.252 0.909 3.076
O 3.747 4.221 11.953
O -1.897 4.931 8.171
O 3.785 6.309 13.286
O 1.731 5.309 21.887
Zn 0.040 5.185 11.655
O 1.684 5.348 5.772
O 5.240 6.361 1.965
P 3.168 4.870 13.225
O 1.896 4.939 19.455
Na -1.637 7.462 1.818
O 2.653 7.472 15.714
S -2.685 5.199 9.436
O 5.496 3.941 9.506
O 2.673 2.775 3.094
O -2.900 7.616 20.629
O 3.455 6.406 20.638
Na 4.322 2.413 18.757
Na 1.667 7.490 13.088
O 3.781 6.101 6.849
O 2.873 2.541 16.842
O 3.402 4.020 14.492
P 7.192 2.620 13.211
S 3.157 0.252 13.208
Zn 0.147 0.049 19.201
Na 4.480 7.568 11.194
Zn 4.490 2.534 15.409
O 0.726 1.731 15.636
P 1.356 2.292 16.963
O 3.614 1.248 5.518
O -0.893 3.840 13.057
O -3.378 6.243 15.744
O -0.782 1.451 20.652
O -0.714 6.702 13.048
O 2.657 2.339 0.680
O 7.222 0.164 18.261
O 8.108 1.324 13.268
O 0.944 6.466 17.073
O 1.035 6.673 10.708
O 0.683 1.520 9.333
P -1.382 7.484 20.804
O 1.613 5.035 13.110
S 1.834 2.630 1.901
O 3.349 6.305 4.442
O -1.710 5.235 17.084
Na -0.074 5.190 14.994
In 4.515 2.583 10.952
Na 6.115 0.177 20.607
O 7.340 0.134 1.989
In 8.973 -0.021 14.738
O 5.482 1.279 16.860
O -0.654 6.860 19.571
Na -4.419 7.654 22.519
O 0.985 1.376 1.975
S 2.648 5.159 20.741
O 5.621 1.059 0.640
O -0.745 1.658 4.435
O 7.880 1.459 6.963
O 5.228 6.101 18.155
Na 4.347 2.483 7.475
O 2.910 7.674 9.339
O 3.536 3.964 20.824
In -0.022 5.216 18.504
O 0.714 6.703 1.763
S 3.178 5.464 5.668
O 0.786 6.886 8.131
O 3.803 4.133 5.523
O 6.115 2.459 5.558
O -2.625 7.490 4.339
Na 1.178 2.655 13.235
O -0.911 6.515 5.747
In -0.003 5.200 7.193
```

Its formation energy is -2239 meV/atom. Its space group is P1 (1). As for the volume: 13.56 Å³ per atom.

=====

No. 3
Entry from Materials Project: a geometry-optimized Na3Zr2In2P5SO24 structure (PBE).

Structure (extended XYZ):
```
111
Lattice="-8.879 0.561 0.891 3.505 -4.679 -6.743 0.096 -19.092 13.351" Properties=species:S:1:pos:R:3 pbc="T T T"
O 1.736 -8.230 -3.787
In 3.498 -17.040 1.930
O 0.270 -7.018 0.326
O -0.874 -8.621 4.323
O -7.181 -14.908 11.233
O -1.447 -10.782 -0.573
O -5.518 -16.213 7.174
O -1.088 -2.357 0.176
O -3.039 -3.999 -0.101
Na 3.410 -4.696 -6.654
O -1.458 -5.267 -4.270
O -1.868 -12.735 1.056
Zr -5.239 -10.806 -1.123
In -0.602 -3.309 -3.984
O 0.536 -4.673 1.090
O -5.770 -9.983 2.979
O -2.334 -19.197 7.716
O -0.190 -14.932 2.229
P -3.646 -13.688 4.133
P -5.758 -1.411 1.462
O -8.079 -6.007 3.674
O -2.197 -7.800 -0.734
O 0.192 -8.647 -2.033
O -3.875 -14.225 5.572
O 0.632 -18.234 10.900
O -1.080 -10.856 3.532
O -0.757 -14.227 7.976
P -2.136 -12.119 -0.330
In -0.511 -12.829 2.720
O 2.767 -11.660 -0.140
P -2.698 -18.537 3.886
O 0.538 -13.321 4.534
P -6.306 -3.985 -2.272
O -5.847 -4.886 -3.419
P -3.722 -7.662 -0.803
O -4.230 -6.748 0.356
O -1.388 -3.651 -1.960
O -0.098 -20.435 5.853
In -0.574 -8.966 0.032
O -1.013 -16.524 7.189
P 0.502 -21.827 6.057
P 1.048 -19.224 9.769
Zr -4.630 -14.303 7.476
Na -4.830 -7.560 2.777
O -5.557 -0.906 -0.001
In -0.530 -18.571 6.645
O -2.381 -21.443 8.734
P 1.031 -6.118 1.310
O -3.067 -9.429 3.737
O 0.360 -20.567 10.078
Zr -4.741 -4.760 0.811
O -6.370 -11.161 5.750
O -4.172 -20.769 7.329
O -6.467 -13.387 6.952
Na 3.446 -14.254 0.039
O 2.653 -17.038 3.839
Na -0.556 -15.672 4.695
Na 0.846 -3.143 -1.092
O -4.127 -12.225 4.057
In -5.327 -6.923 -3.842
O -5.877 -4.529 -0.871
O -4.429 -9.038 -0.581
P -1.492 -15.541 8.274
O -4.083 -7.070 -2.165
O -5.833 -18.502 6.236
O -3.458 -17.313 3.347
Na 1.313 -16.045 7.577
O -4.443 -14.502 3.090
O 0.401 -22.363 7.484
O -2.137 -13.807 3.822
P 2.534 -17.610 5.245
O -6.278 -18.802 10.715
O 1.186 -12.177 1.689
O 1.226 -9.804 0.686
O -3.009 -1.790 -1.319
O -3.891 -19.645 9.438
Na -4.603 -17.076 9.531
O -5.200 -8.397 5.268
S 0.931 -9.283 -3.145
P -3.113 -11.110 7.822
O -3.756 -18.059 11.782
O -5.536 -14.618 9.425
O -7.952 -11.431 7.601
O 1.036 -4.406 -3.060
O -7.291 -1.345 1.663
P 2.021 -11.046 1.084
P -2.136 -2.951 -0.798
O 0.708 -18.628 8.393
O -3.780 -12.508 8.015
O -1.586 -11.185 7.817
Zr 0.042 -16.261 11.347
Na -0.710 -6.147 -1.982
O -1.112 -16.075 9.682
O 1.059 -17.470 5.690
O -5.666 -2.593 -2.471
O -3.696 -11.977 -0.447
O -1.735 -5.732 4.069
O -3.033 -15.410 8.259
Na -2.492 -15.288 1.886
O -5.278 -2.883 1.536
S -1.623 -9.493 3.372
O -3.551 -5.191 2.629
Zr -4.657 -19.912 11.482
O -3.572 -10.540 6.462
O -1.652 -18.056 4.890
Zr -4.757 -10.391 4.760
O -1.532 -8.983 1.994
P -7.323 -12.200 6.418
S -3.159 -20.270 8.300
O -6.308 -5.647 1.950
O 2.014 -21.863 5.681
```

Its formation energy is -2743 meV/atom. Its space group is P1 (1). As for the volume: 14.52 Å³ per atom.